Record 1
A plane-wave DFT calculation with PBE+U was carried out for a relaxed structure of BaSrNdMnO6.

a = 8.450 Å, b = 8.463 Å, c = 8.467 Å
α = 90.00°, β = 90.00°, γ = 90.00°
Sites, in units of the cell vectors:
Ba 0.000 0.000 0.000
Ba 0.000 0.500 0.000
Ba 0.500 0.000 0.000
Ba 0.500 0.500 0.500
Sr 0.000 0.000 0.500
Sr 0.000 0.500 0.500
Sr 0.500 0.000 0.500
Sr 0.500 0.500 0.000
Nd 0.250 0.251 0.252
Nd 0.250 0.749 0.748
Nd 0.750 0.251 0.748
Nd 0.750 0.749 0.252
Mn 0.250 0.250 0.748
Mn 0.250 0.750 0.252
Mn 0.750 0.250 0.252
Mn 0.750 0.750 0.748
O 0.022 0.225 0.723
O 0.022 0.775 0.277
O 0.223 0.478 0.721
O 0.223 0.522 0.279
O 0.232 0.269 0.977
O 0.232 0.731 0.023
O 0.270 0.023 0.767
O 0.270 0.977 0.233
O 0.277 0.222 0.522
O 0.277 0.778 0.478
O 0.478 0.278 0.774
O 0.478 0.722 0.226
O 0.522 0.278 0.226
O 0.522 0.722 0.774
O 0.723 0.222 0.478
O 0.723 0.778 0.522
O 0.730 0.023 0.233
O 0.730 0.977 0.767
O 0.768 0.269 0.023
O 0.768 0.731 0.977
O 0.777 0.478 0.279
O 0.777 0.522 0.721
O 0.978 0.225 0.277
O 0.978 0.775 0.723

Values from the calculation:
- energy above the most stable polymorph in this dataset (meV/atom) = 2

***

Record 2
A plane-wave DFT calculation with PBE+U was carried out for a relaxed structure of BaSrNdMnO6.

a = 5.946 Å, b = 5.958 Å, c = 8.422 Å
α = 90.17°, β = 90.10°, γ = 90.26°
Sites, in units of the cell vectors:
Ba 0.011 0.002 0.250
Ba 0.989 0.998 0.750
Sr 0.488 0.502 0.749
Sr 0.512 0.498 0.251
Nd 0.000 0.500 0.000
Nd 0.500 0.000 0.500
Mn 0.000 0.500 0.500
Mn 0.500 0.000 0.000
O 0.006 0.459 0.727
O 0.209 0.745 0.522
O 0.253 0.299 0.477
O 0.254 0.793 0.977
O 0.297 0.252 0.024
O 0.496 0.951 0.227
O 0.504 0.049 0.773
O 0.703 0.748 0.976
O 0.746 0.207 0.023
O 0.747 0.701 0.523
O 0.791 0.255 0.478
O 0.994 0.541 0.273

Values from the calculation:
- energy above the most stable polymorph in this dataset (meV/atom) = 0

***

Record 3
A plane-wave DFT calculation with PBE+U was carried out for a relaxed structure of BaMn2O4.

a = 10.575 Å, b = 9.785 Å, c = 8.187 Å
α = 71.46°, β = 61.32°, γ = 47.23°
Sites, in units of the cell vectors:
Ba 0.000 0.000 0.000
Ba 0.000 0.000 0.500
Ba 0.000 0.500 0.000
Ba 0.500 0.000 0.000
Mn 0.170 0.368 0.358
Mn 0.358 0.604 0.170
Mn 0.368 0.170 0.604
Mn 0.396 0.642 0.632
Mn 0.604 0.358 0.368
Mn 0.632 0.830 0.396
Mn 0.642 0.396 0.830
Mn 0.830 0.632 0.642
O 0.105 0.415 0.610
O 0.113 0.780 0.257
O 0.220 0.887 0.650
O 0.257 0.350 0.113
O 0.350 0.257 0.780
O 0.371 0.610 0.415
O 0.390 0.629 0.895
O 0.415 0.105 0.371
O 0.585 0.895 0.629
O 0.610 0.371 0.105
O 0.629 0.390 0.585
O 0.650 0.743 0.220
O 0.743 0.650 0.887
O 0.780 0.113 0.350
O 0.887 0.220 0.743
O 0.895 0.585 0.390

***

Record 4
A plane-wave DFT calculation with PBE+U was carried out for a relaxed structure of BaMnO2.

a = 10.667 Å, b = 9.751 Å, c = 11.494 Å
α = 90.00°, β = 90.00°, γ = 90.00°
Sites, in units of the cell vectors:
Ba 0.066 0.250 0.121
Ba 0.076 0.250 0.642
Ba 0.231 0.022 0.384
Ba 0.231 0.478 0.384
Ba 0.269 0.522 0.884
Ba 0.269 0.978 0.884
Ba 0.424 0.750 0.142
Ba 0.434 0.750 0.621
Ba 0.566 0.250 0.379
Ba 0.576 0.250 0.858
Ba 0.731 0.022 0.116
Ba 0.731 0.478 0.116
Ba 0.769 0.522 0.616
Ba 0.769 0.978 0.616
Ba 0.924 0.750 0.358
Ba 0.934 0.750 0.879
Mn 0.079 0.595 0.639
Mn 0.079 0.905 0.639
Mn 0.113 0.606 0.138
Mn 0.113 0.894 0.138
Mn 0.387 0.106 0.638
Mn 0.387 0.394 0.638
Mn 0.421 0.095 0.139
Mn 0.421 0.405 0.139
Mn 0.579 0.595 0.861
Mn 0.579 0.905 0.861
Mn 0.613 0.606 0.362
Mn 0.613 0.894 0.362
Mn 0.887 0.106 0.862
Mn 0.887 0.394 0.862
Mn 0.921 0.095 0.361
Mn 0.921 0.405 0.361
O 0.000 0.000 0.500
O 0.000 0.500 0.500
O 0.043 0.022 0.790
O 0.043 0.478 0.790
O 0.055 0.250 0.349
O 0.146 0.750 0.003
O 0.173 0.750 0.267
O 0.235 0.055 0.110
O 0.235 0.445 0.110
O 0.265 0.555 0.610
O 0.265 0.945 0.610
O 0.327 0.250 0.767
O 0.354 0.250 0.503
O 0.445 0.750 0.849
O 0.457 0.522 0.290
O 0.457 0.978 0.290
O 0.500 0.000 0.000
O 0.500 0.500 0.000
O 0.543 0.022 0.710
O 0.543 0.478 0.710
O 0.555 0.250 0.151
O 0.646 0.750 0.497
O 0.673 0.750 0.233
O 0.735 0.055 0.390
O 0.735 0.445 0.390
O 0.765 0.555 0.890
O 0.765 0.945 0.890
O 0.827 0.250 0.733
O 0.854 0.250 0.997
O 0.945 0.750 0.651
O 0.957 0.522 0.210
O 0.957 0.978 0.210

***

Number 1: total magnetization 8.00 μB per cell, energy of formation from the pure elements -2.73 eV/atom. Number 2: total magnetization 4.00 μB per cell, energy of formation from the pure elements -2.73 eV/atom. Number 3: total magnetization 32.00 μB per cell, energy of formation from the pure elements -1.91 eV/atom. Number 4: total magnetization 0.00 μB per cell, energy of formation from the pure elements -2.39 eV/atom.